w | # CuH10SO9

A relaxed structure of CuH10SO9 (PBE-GGA, the Materials Project database).

Unit cell a=5.9709 b=6.0572 c=10.8374 alpha=77.61 beta=82.36 gamma=72.98
Last column: nearest neighbours and their distance in Å.
Sites, in units of the cell vectors:
O: 0.2965 0.5344 0.4039  2 H 0.99-1.00
S: 0.3771 0.0081 0.7150  4 O 1.49-1.51
H: 0.0646 0.7029 0.2028  1 O 0.99
O: 0.8516 0.8116 0.9255  2 H 0.99-1.00
H: 0.8796 0.1962 0.4009  1 O 1.00
Cu: 0.0000 0.0000 0.0000  4 O 1.98-2.00
H: 0.3368 0.6042 0.8695  1 O 1.00
H: 0.6632 0.3958 0.1305  1 O 1.00
H: 0.5693 0.6051 0.6073  1 O 1.00
H: 0.9354 0.2971 0.7972  1 O 0.99
O: 0.8503 0.2937 0.8821  2 H 0.99-1.00
H: 0.8356 0.8609 0.6192  1 O 1.00
O: 0.0192 0.2419 0.4169  2 H 1.00
O: 0.3361 0.8913 0.8482  1 S 1.49
O: 0.3619 0.8593 0.6246  1 S 1.49, 1 H 1.64
O: 0.6215 0.0412 0.6977  1 S 1.51, 1 H 1.69
O: 0.7954 0.7564 0.3102  1 S 1.49
H: 0.2358 0.2827 0.0094  1 O 1.00
H: 0.2543 0.1005 0.1419  1 O 0.99
H: 0.7457 0.8995 0.8581  1 O 0.99
O: 0.3739 0.4300 0.8772  2 H 0.99-1.00
H: 0.3062 0.4056 0.8048  1 O 0.99
O: 0.3785 0.9588 0.3023  1 S 1.51, 1 H 1.69
O: 0.9808 0.7581 0.5831  2 H 1.00
O: 0.1497 0.7063 0.1179  2 H 0.99-1.00
O: 0.1484 0.1884 0.0745  2 H 0.99-1.00
H: 0.4307 0.3949 0.3927  1 O 1.00
O: 0.6381 0.1407 0.3754  1 S 1.49, 1 H 1.64
H: 0.1644 0.1391 0.3808  1 O 1.00
H: 0.3431 0.6832 0.3766  1 O 0.99
O: 0.2046 0.2436 0.6898  1 S 1.49
Cu: 0.0000 0.5000 0.5000  4 O 1.93-1.97
S: 0.6229 0.9919 0.2850  4 O 1.49-1.51
H: 0.6938 0.5944 0.1952  1 O 0.99
H: 0.7642 0.7173 0.9906  1 O 1.00
O: 0.6639 0.1087 0.1518  1 S 1.49
O: 0.6261 0.5700 0.1228  2 H 0.99-1.00
O: 0.7035 0.4656 0.5961  2 H 0.99-1.00
H: 0.6774 0.3327 0.8727  1 O 1.00
H: 0.6569 0.3168 0.6234  1 O 0.99
H: 0.3226 0.6673 0.1273  1 O 1.00
H: 0.1204 0.8038 0.5991  1 O 1.00

Calculated values
SG: P-1, No. 2
Magnetic moment: 1.0 μB/f.u.

x | # CuH10SO9

A relaxed structure of CuH10SO9 (PBE-GGA, the Materials Project database).

Unit cell a=6.4308 b=6.4538 c=10.9648 alpha=98.48 beta=87.48 gamma=109.13
Last column: nearest neighbours and their distance in Å.
Sites, in units of the cell vectors:
O: 0.6552 0.9384 0.1518  1 S 1.45
H: 0.2405 0.7361 0.0163  1 O 0.98
H: 0.5528 0.4315 0.6389  1 O 0.98
H: 0.7595 0.2639 0.9837  1 O 0.98
H: 0.2524 0.8952 0.1425  1 O 0.99
O: 0.3366 0.4196 0.3477  2 H 0.98
O: 0.6634 0.5804 0.6523  2 H 0.98
H: 0.4472 0.5685 0.3611  1 O 0.98
H: 0.7476 0.1048 0.8575  1 O 0.99
O: 0.3448 0.0616 0.8482  1 S 1.45
O: 0.8384 0.1778 0.9318  2 H 0.98-0.99
O: 0.3696 0.9869 0.2966  1 S 1.48
S: 0.5970 0.9813 0.2801  3 O 1.45-1.48
O: 0.6304 0.0131 0.7034  1 S 1.48
H: 0.2472 0.3071 0.2059  1 O 1.01
O: 0.2413 0.7622 0.6894  1 O 1.46, 1 S 1.63
O: 0.8625 0.7318 0.8643  2 H 0.98-1.01
H: 0.8808 0.7858 0.3926  1 O 0.99
O: 0.1616 0.8222 0.0682  2 H 0.98-0.99
Cu: 0.0000 0.0000 0.0000  4 O 2.01-2.08
H: 0.1844 0.3926 0.9095  1 H 0.75
H: 0.9885 0.7052 0.8194  1 O 0.98
O: 0.7152 0.3391 0.4334  1 O 1.46
H: 0.3002 0.4265 0.8860  1 H 0.75
O: 0.3519 0.1509 0.6350  1 S 1.47
H: 0.1192 0.2142 0.6074  1 O 0.99
O: 0.2848 0.6609 0.5666  1 O 1.46
O: 0.7587 0.2378 0.3106  1 O 1.46, 1 S 1.63
S: 0.4030 0.0187 0.7199  3 O 1.45-1.48
O: 0.6481 0.8491 0.3650  1 S 1.47
H: 0.7528 0.6929 0.7941  1 O 1.01
H: 0.5937 0.6749 0.6194  1 O 0.98
H: 0.8512 0.1508 0.6132  1 O 0.99
O: 0.1375 0.2682 0.1357  2 H 0.98-1.01
O: 0.9896 0.2472 0.5811  2 H 0.99
O: 0.0104 0.7528 0.4189  2 H 0.99
H: 0.6998 0.5735 0.1140  1 H 0.75
Cu: 0.0000 0.5000 0.5000  4 O 1.90-1.95
H: 0.1488 0.8492 0.3868  1 O 0.99
H: 0.8156 0.6074 0.0905  1 H 0.75
H: 0.0115 0.2948 0.1806  1 O 0.98
H: 0.4063 0.3251 0.3806  1 O 0.98

Calculated values
SG: P-1, No. 2
Magnetic moment: 0.7 μB/f.u.

Verdict on stability: x comes out at the bottom.

w | # Sr2CuH2Se4O12

A relaxed structure of Sr2CuH2Se4O12 (PBE-GGA, the Materials Project database).

Unit cell a=5.8145 b=7.1580 c=9.0108 alpha=72.86 beta=71.33 gamma=80.94
Last column: nearest neighbours and their distance in Å.
Sites, in units of the cell vectors:
O: 0.4551 0.7524 0.6684  2 Se 1.84-1.99
Cu: 0.0000 0.0000 0.0000  4 O 1.93-2.04
O: 0.0223 0.2975 0.1405  1 Se 1.66
O: 0.8456 0.4454 0.4037  1 Se 1.70
O: 0.1516 0.7970 0.1402  1 H 0.97
H: 0.6922 0.1746 0.8587  1 O 0.97
O: 0.3131 0.0628 0.8149  1 Se 1.73
Se: 0.7984 0.4400 0.2279  2 O 1.66-1.70
Sr: 0.1060 0.2063 0.5799  6 O 2.48-2.64
O: 0.6869 0.9372 0.1851  1 Se 1.73
O: 0.5449 0.2476 0.3316  2 Se 1.84-1.99
O: 0.8484 0.2030 0.8598  1 H 0.97
Se: 0.2016 0.5600 0.7721  2 O 1.66-1.70
O: 0.7538 0.9990 0.6301  1 Se 1.69
O: 0.2462 0.0010 0.3699  1 Se 1.69
O: 0.9777 0.7025 0.8595  1 Se 1.66
O: 0.1544 0.5546 0.5963  1 Se 1.70
Se: 0.4581 0.1230 0.2074  3 O 1.69-1.84
Sr: 0.8940 0.7937 0.4201  6 O 2.48-2.64
H: 0.3078 0.8254 0.1413  1 O 0.97
Se: 0.5419 0.8770 0.7926  3 O 1.69-1.84

Calculated values
SG: P-1, No. 2
Magnetic moment: 1.0 μB/f.u.

x | # Sr2CuH2Se4O12

A relaxed structure of Sr2CuH2Se4O12 (PBE-GGA, the Materials Project database).

Unit cell a=5.3828 b=7.2898 c=9.2112 alpha=68.10 beta=75.43 gamma=80.55
Last column: nearest neighbours and their distance in Å.
Sites, in units of the cell vectors:
Sr: 0.8332 0.8097 0.4391  8 O 2.59-2.78
Se: 0.4021 0.0289 0.1876  3 O 1.71-1.77
O: 0.1152 0.5342 0.6127  1 Se 1.70
Se: 0.8098 0.4405 0.2280  3 O 1.68-1.87
Sr: 0.1668 0.1903 0.5609  8 O 2.59-2.78
O: 0.7974 0.1285 0.8294  1 Se 1.77
Cu: 0.0000 0.0000 0.0000  4 O 1.97-1.99
O: 0.1186 0.7997 0.7515  1 Se 1.68
O: 0.3402 0.9599 0.3911  1 Se 1.71
O: 0.3024 0.1135 0.8372  1 Se 1.76, 1 Cu 1.97
Se: 0.5979 0.9711 0.8124  3 O 1.71-1.77
O: 0.6976 0.8865 0.1628  1 Se 1.76, 1 Cu 1.97
O: 0.2026 0.8715 0.1706  1 Se 1.77
Se: 0.1902 0.5595 0.7720  3 O 1.68-1.87
H: 0.3762 0.5681 0.2643  1 O 0.99
O: 0.6598 0.0401 0.6089  1 Se 1.71
O: 0.8814 0.2003 0.2485  1 Se 1.68
O: 0.5480 0.5705 0.7070  1 H 0.99
H: 0.6238 0.4319 0.7357  1 O 0.99
O: 0.4520 0.4295 0.2930  1 H 0.99
O: 0.8848 0.4658 0.3873  1 Se 1.70

Calculated values
SG: P-1, No. 2
Magnetic moment: 1.0 μB/f.u.

Verdict on stability: w comes out at the bottom.

w | # Cu7Hg6

A relaxed structure of Cu7Hg6 (PBE-GGA, the Materials Project database).

Unit cell a=8.1896 b=8.3074 c=8.3074 alpha=109.76 beta=109.18 gamma=109.18
Last column: nearest neighbours and their distance in Å.
Sites, in units of the cell vectors:
Hg: 0.1151 0.6114 0.2247  6 Cu 2.81-2.91, 3 Hg 3.01-3.05
Cu: 0.1808 0.8038 0.0000  7 Cu 2.51-2.70
Cu: 0.6308 0.8044 0.8044  7 Cu 2.52-2.69
Cu: 0.1742 0.0000 0.3203  6 Cu 2.57-2.73, 2 Hg 2.81
Hg: 0.5552 0.3531 0.0000  6 Cu 2.82-3.04, 3 Hg 2.84-2.97
Cu: 0.8539 0.6797 0.6797  6 Cu 2.57-2.73, 2 Hg 2.81
Hg: 0.4502 0.0000 0.6471  6 Cu 2.82-3.05, 3 Hg 2.84-2.97
Hg: 0.5037 0.3886 0.6133  6 Cu 2.81-2.91, 3 Hg 3.01-3.05
Hg: 0.5552 0.0000 0.3531  6 Cu 2.82-3.04, 3 Hg 2.84-2.97
Cu: 0.1742 0.3203 0.0000  6 Cu 2.57-2.73, 2 Hg 2.81
Hg: 0.8031 0.3529 0.3529  6 Cu 2.82-3.05, 3 Hg 2.84-2.97
Hg: 0.1151 0.2247 0.6114  6 Cu 2.81-2.91, 3 Hg 3.01-3.05
Hg: 0.8904 0.7753 0.3867  6 Cu 2.81-2.91, 3 Hg 3.01-3.05
Cu: 0.8264 0.0000 0.1956  7 Cu 2.52-2.69
Hg: 0.4502 0.6471 0.0000  6 Cu 2.82-3.05, 3 Hg 2.84-2.97
Cu: 0.1808 0.0000 0.8038  7 Cu 2.51-2.70
Cu: 0.8264 0.1956 0.0000  7 Cu 2.52-2.69
Hg: 0.2021 0.6469 0.6469  6 Cu 2.82-3.04, 3 Hg 2.84-2.97
Cu: 0.3770 0.1962 0.1962  7 Cu 2.51-2.70
Hg: 0.5037 0.6133 0.3886  6 Cu 2.81-2.91, 3 Hg 3.01-3.05
Cu: 0.8320 0.0000 0.6795  6 Cu 2.57-2.73, 4 Hg 2.81-2.86
Hg: 0.8904 0.3867 0.7753  6 Cu 2.81-2.91, 3 Hg 3.01-3.05
Cu: 0.1525 0.3205 0.3205  6 Cu 2.57-2.73, 4 Hg 2.81-2.86
Cu: 0.0045 0.0000 0.0000  12 Cu 2.51-2.57
Cu: 0.5035 0.0000 0.0000  6 Cu 2.61, 6 Hg 2.82
Cu: 0.8320 0.6795 0.0000  6 Cu 2.57-2.73, 4 Hg 2.81-2.86

Calculated values
SG: R3m, No. 160
Magnetic moment: 0.0 μB/f.u.

x | # Cu7Hg6

A relaxed structure of Cu7Hg6 (PBE-GGA, the Materials Project database).

Unit cell a=8.9297 b=8.9297 c=8.9297 alpha=90.15 beta=90.15 gamma=90.15
Last column: nearest neighbours and their distance in Å.
Sites, in units of the cell vectors:
Cu: 0.8916 0.8916 0.1073  7 Cu 2.50-2.73, 2 Hg 2.79
Cu: 0.3389 0.0146 0.0146  6 Cu 2.41-2.58, 1 Hg 2.51
Cu: 0.0924 0.0924 0.0924  12 Cu 2.41-2.54
Hg: 0.3494 0.6951 0.9659  3 Cu 2.77-2.89, 2 Hg 2.90-3.09
Hg: 0.9659 0.6951 0.3494  3 Cu 2.77-2.89, 2 Hg 2.90-3.09
Hg: 0.6205 0.0150 0.0150  4 Cu 2.51-2.79
Hg: 0.6665 0.6665 0.0287  2 Cu 2.76-2.92, 2 Hg 2.90
Cu: 0.0146 0.0146 0.3389  6 Cu 2.41-2.58, 1 Hg 2.51
Cu: 0.8380 0.8380 0.8380  3 Cu 2.50, 3 Hg 2.76
Cu: 0.2873 0.2873 0.0812  6 Cu 2.46-2.61
Cu: 0.0812 0.2873 0.2873  6 Cu 2.46-2.61
Hg: 0.9659 0.3494 0.6951  3 Cu 2.77-2.89, 2 Hg 2.90-3.09
Hg: 0.6951 0.3494 0.9659  3 Cu 2.77-2.89, 2 Hg 2.90-3.09
Cu: 0.1707 0.8436 0.1707  6 Cu 2.43-2.59
Cu: 0.0146 0.3389 0.0146  6 Cu 2.41-2.58, 1 Hg 2.51
Cu: 0.1073 0.8916 0.8916  7 Cu 2.50-2.73, 2 Hg 2.79
Cu: 0.1707 0.1707 0.8436  6 Cu 2.43-2.59
Cu: 0.8916 0.1073 0.8916  7 Cu 2.50-2.73, 2 Hg 2.79
Cu: 0.8436 0.1707 0.1707  6 Cu 2.43-2.59
Cu: 0.2873 0.0812 0.2873  6 Cu 2.46-2.61
Hg: 0.0150 0.6205 0.0150  4 Cu 2.51-2.79
Hg: 0.0150 0.0150 0.6205  4 Cu 2.51-2.79
Hg: 0.6665 0.0287 0.6665  2 Cu 2.76-2.92, 2 Hg 2.90
Hg: 0.0287 0.6665 0.6665  2 Cu 2.76-2.92, 2 Hg 2.90
Hg: 0.3494 0.9659 0.6951  3 Cu 2.77-2.89, 2 Hg 2.90-3.09
Hg: 0.6951 0.9659 0.3494  3 Cu 2.77-2.89, 2 Hg 2.90-3.09

Calculated values
SG: R3m, No. 160
Magnetic moment: 0.0 μB/f.u.

Verdict on stability: x comes out at the bottom.